# 1
Computed, not measured: a relaxed GaPd3 crystal at the r2SCAN level of DFT.

The structure in POSCAR format:
```
GaPd3
1.0
5.561 0.000 0.000
-2.781 4.816 0.000
0.000 0.000 4.405
Ga Pd
2 6
Direct
0.333 0.667 0.250
0.667 0.333 0.750
0.169 0.337 0.750
0.169 0.831 0.750
0.337 0.169 0.250
0.663 0.831 0.750
0.831 0.169 0.250
0.831 0.663 0.250
```

Computed properties:
Space-group type: No. 194
ΔH_f (0 K), meV/atom: -443
Total magnetic moment, μB/f.u.: 0.00
Calculated volume, Å³/f.u.: 59


# 2
Computed, not measured: a relaxed GaPd3 crystal at the r2SCAN level of DFT.

The structure in POSCAR format:
```
GaPd3
1.0
6.179 0.000 0.000
0.000 6.179 0.000
0.000 0.000 6.179
Ga Pd
4 12
Direct
0.000 0.000 0.000
0.000 0.500 0.500
0.500 0.000 0.500
0.500 0.500 0.000
0.000 0.000 0.500
0.000 0.500 0.000
0.250 0.250 0.250
0.250 0.250 0.750
0.250 0.750 0.250
0.250 0.750 0.750
0.500 0.000 0.000
0.500 0.500 0.500
0.750 0.250 0.250
0.750 0.250 0.750
0.750 0.750 0.250
0.750 0.750 0.750
```

Computed properties:
Space-group type: No. 225
ΔH_f (0 K), meV/atom: -436
Total magnetic moment, μB/f.u.: 0.00
Calculated volume, Å³/f.u.: 59


# 3
Computed, not measured: a relaxed GaPd2 crystal at the r2SCAN level of DFT.

The structure in POSCAR format:
```
GaPd2
1.0
5.544 0.000 0.000
0.000 4.060 0.000
0.000 0.000 7.799
Ga Pd
4 8
Direct
0.205 0.250 0.108
0.295 0.750 0.608
0.705 0.250 0.392
0.795 0.750 0.892
0.042 0.250 0.793
0.163 0.250 0.434
0.337 0.750 0.934
0.458 0.750 0.293
0.542 0.250 0.707
0.663 0.250 0.066
0.837 0.750 0.566
0.958 0.750 0.207
```

Computed properties:
Space-group type: No. 62
ΔH_f (0 K), meV/atom: -640
Total magnetic moment, μB/f.u.: 0.00
Calculated volume, Å³/f.u.: 44


# 4
Computed, not measured: a relaxed PmGaPd2 crystal at the r2SCAN level of DFT.

The structure in POSCAR format:
```
PmGaPd2
1.0
6.695 0.000 0.000
0.000 6.695 0.000
0.000 0.000 6.695
Pm Ga Pd
4 4 8
Direct
0.000 0.000 0.000
0.000 0.500 0.500
0.500 0.000 0.500
0.500 0.500 0.000
0.000 0.000 0.500
0.000 0.500 0.000
0.500 0.000 0.000
0.500 0.500 0.500
0.250 0.250 0.250
0.250 0.250 0.750
0.250 0.750 0.250
0.250 0.750 0.750
0.750 0.250 0.250
0.750 0.250 0.750
0.750 0.750 0.250
0.750 0.750 0.750
```

Computed properties:
Space-group type: No. 225
ΔH_f (0 K), meV/atom: -724
Total magnetic moment, μB/f.u.: 0.00
Calculated volume, Å³/f.u.: 75